Entry 1:
This record from the Materials Project database describes a relaxed Tb2Co12P7 crystal. The functional is r²SCAN.

Results
- formation energy from the elements (eV per atom) = -0.736

The structure in CIF format:
```
data_Tb2Co12P7
_chemical_formula_sum 'Tb2 Co12 P7'
_cell_length_a 8.9311
_cell_length_b 8.9311
_cell_length_c 3.5936
_cell_angle_alpha 90.00
_cell_angle_beta 90.00
_cell_angle_gamma 120.00
_symmetry_space_group_name_H-M 'P -6'
_symmetry_Int_Tables_number 174
loop_
_symmetry_equiv_pos_as_xyz
'x,y,z'
'-x+y,-x,-z'
'-y,x-y,z'
'x,y,-z'
'-x+y,-x,z'
'-y,x-y,-z'
loop_
_atom_site_label
_atom_site_fract_x
_atom_site_fract_y
_atom_site_fract_z
Tb1 0.0000 0.0000 0.0000
Tb2 0.3333 0.6667 0.5000
Co1 0.0483 0.7656 0.5000
Co2 0.0985 0.3925 0.0000
Co3 0.3942 0.2138 0.0000
Co4 0.5400 0.1078 0.5000
P1 0.0745 0.6303 0.0000
P2 0.2641 0.0409 0.5000
P3 0.6667 0.3333 0.0000
```

Entry 2:
This record from the Materials Project database describes a relaxed CoSb2O4 crystal. The functional is r²SCAN.

Results
- formation energy from the elements (eV per atom) = -1.376

The structure in CIF format:
```
data_CoSb2O4
_chemical_formula_sum 'Co4 Sb8 O16'
_cell_length_a 8.498
_cell_length_b 8.498
_cell_length_c 5.920
_cell_angle_alpha 90.00
_cell_angle_beta 90.00
_cell_angle_gamma 90.00
_symmetry_space_group_name_H-M 'P 42/m'
_symmetry_Int_Tables_number 84
loop_
_symmetry_equiv_pos_as_xyz
'x,y,z'
'-x,-y,-z'
'-y,x,z+1/2'
'y,-x,-z+1/2'
'-x,-y,z'
'x,y,-z'
'y,-x,z+1/2'
'-y,x,-z+1/2'
loop_
_atom_site_label
_atom_site_fract_x
_atom_site_fract_y
_atom_site_fract_z
Co1 0.000 0.500 0.244
Sb1 0.164 0.177 0.500
Sb2 0.330 0.335 0.000
O1 0.102 0.361 0.000
O2 0.139 0.405 0.500
O3 0.179 0.676 0.248
```

Entry 3:
This record from the Materials Project database describes a relaxed Ta6Si7Ni16 crystal. The functional is r²SCAN.

Results
- formation energy from the elements (eV per atom) = -0.616

The structure in CIF format:
```
data_Ta6Si7Ni16
_chemical_formula_sum 'Ta24 Si28 Ni64'
_cell_length_a 11.146
_cell_length_b 11.146
_cell_length_c 11.146
_cell_angle_alpha 90.00
_cell_angle_beta 90.00
_cell_angle_gamma 90.00
_symmetry_space_group_name_H-M 'F m -3 m'
_symmetry_Int_Tables_number 225
_symmetry_space_group_name_Hall '-F 4 2 3'
loop_
_atom_site_label
_atom_site_fract_x
_atom_site_fract_y
_atom_site_fract_z
Ta1 0.000 0.000 0.204
Si1 0.000 0.000 0.500
Si2 0.000 0.250 0.250
Ni1 0.117 0.117 0.383
Ni2 0.168 0.168 0.168
```